VASP calculation (meta-GGA r2SCAN) on a geometry-optimized Na2AgSb structure.

Unit cell a=9.218 b=7.872 c=5.763 alpha=90.00 beta=90.00 gamma=90.00
Space group Cmcm (No. 63)
One atom of each set of equivalent atoms:
Na 0.178 0.150 0.250 (multiplicity 8)
Ag 0.000 0.500 0.000 (multiplicity 4)
Sb 0.000 0.209 0.750 (multiplicity 4)

## Properties
raw total energy = -13.995 eV/atom

VASP calculation (meta-GGA r2SCAN) on a geometry-optimized Nb13AgO33 structure.

Unit cell a=22.670 b=3.848 c=15.607 alpha=90.00 beta=91.91 gamma=90.00
Space group C2/m (No. 12)
One atom of each set of equivalent atoms:
Nb 0.000 0.000 0.000 (multiplicity 2)
Nb 0.070 0.000 0.229 (multiplicity 4)
Nb 0.086 0.000 0.675 (multiplicity 4)
Nb 0.136 0.000 0.468 (multiplicity 4)
Nb 0.155 0.000 0.904 (multiplicity 4)
Nb 0.208 0.500 0.625 (multiplicity 4)
Nb 0.225 0.000 0.137 (multiplicity 4)
Ag 0.000 0.500 0.500 (multiplicity 2)
O 0.000 0.500 0.000 (multiplicity 2)
O 0.011 0.000 0.709 (multiplicity 4)
O 0.035 0.000 0.120 (multiplicity 4)
O 0.066 0.000 0.543 (multiplicity 4)
O 0.071 0.500 0.247 (multiplicity 4)
O 0.082 0.000 0.951 (multiplicity 4)
O 0.100 0.000 0.365 (multiplicity 4)
O 0.109 0.500 0.662 (multiplicity 4)
O 0.128 0.000 0.786 (multiplicity 4)
O 0.152 0.500 0.497 (multiplicity 4)
O 0.154 0.000 0.195 (multiplicity 4)
O 0.180 0.500 0.900 (multiplicity 4)
O 0.181 0.000 0.611 (multiplicity 4)
O 0.195 0.000 0.026 (multiplicity 4)
O 0.222 0.000 0.431 (multiplicity 4)
O 0.233 0.500 0.736 (multiplicity 4)
O 0.250 0.000 0.862 (multiplicity 4)

## Properties
raw total energy = -14.143 eV/atom

VASP calculation (meta-GGA r2SCAN) on a geometry-optimized Nb2AgS4 structure.

Unit cell a=3.3976 b=3.3976 c=13.6060 alpha=90.00 beta=90.00 gamma=120.00
Space group P3m1 (No. 156)
One atom of each set of equivalent atoms:
Nb 0.0000 0.0000 0.0000 (multiplicity 1)
Nb 0.3333 0.6667 0.5420 (multiplicity 1)
Ag 0.3333 0.6667 0.2912 (multiplicity 1)
S 0.0000 0.0000 0.4259 (multiplicity 1)
S 0.0000 0.0000 0.6527 (multiplicity 1)
S 0.3333 0.6667 0.1144 (multiplicity 1)
S 0.3333 0.6667 0.8892 (multiplicity 1)

## Properties
raw total energy = -15.712 eV/atom

VASP calculation (meta-GGA r2SCAN) on a geometry-optimized Nb4AgS8 structure.

Unit cell a=3.3840 b=3.3840 c=81.5847 alpha=90.00 beta=90.00 gamma=120.00
Space group R3m (No. 160, hexagonal axes)
One atom of each set of equivalent atoms:
Nb 0.0000 0.0000 0.0000 (multiplicity 3)
Nb 0.0000 0.0000 0.0755 (multiplicity 3)
Nb 0.0000 0.0000 0.4995 (multiplicity 3)
Nb 0.0000 0.0000 0.5751 (multiplicity 3)
Ag 0.0000 0.0000 0.4575 (multiplicity 3)
S 0.0000 0.0000 0.1467 (multiplicity 3)
S 0.0000 0.0000 0.1847 (multiplicity 3)
S 0.0000 0.0000 0.3904 (multiplicity 3)
S 0.0000 0.0000 0.4280 (multiplicity 3)
S 0.0000 0.0000 0.6475 (multiplicity 3)
S 0.0000 0.0000 0.6858 (multiplicity 3)
S 0.0000 0.0000 0.8893 (multiplicity 3)
S 0.0000 0.0000 0.9275 (multiplicity 3)

## Properties
raw total energy = -15.270 eV/atom

VASP calculation (meta-GGA r2SCAN) on a geometry-optimized NdAg3 structure.

Unit cell a=6.5273 b=6.5273 c=4.7961 alpha=90.00 beta=90.00 gamma=120.00
Space group P6_3/mmc (No. 194)
One atom of each set of equivalent atoms:
Nd 0.3333 0.6667 0.2500 (multiplicity 2)
Ag 0.1483 0.2966 0.7500 (multiplicity 6)

## Properties
raw total energy = -23.567 eV/atom

VASP calculation (meta-GGA r2SCAN) on a geometry-optimized NdAg structure.

Unit cell a=3.734 b=3.734 c=3.734 alpha=90.00 beta=90.00 gamma=90.00
Space group Pm-3m (No. 221)
One atom of each set of equivalent atoms:
Nd 0.000 0.000 0.000 (multiplicity 1)
Ag 0.500 0.500 0.500 (multiplicity 1)

## Properties
raw total energy = -25.666 eV/atom

VASP calculation (meta-GGA r2SCAN) on a geometry-optimized Nd3SiAgS7 structure.

Unit cell a=10.3216 b=10.3216 c=5.7584 alpha=90.00 beta=90.00 gamma=120.00
Space group P6_3 (No. 173)
One atom of each set of equivalent atoms:
Nd 0.1226 0.3597 0.0000 (multiplicity 6)
Si 0.3333 0.6667 0.4104 (multiplicity 2)
Ag 0.0000 0.0000 0.0423 (multiplicity 2)
S 0.0901 0.2672 0.5153 (multiplicity 6)
S 0.1161 0.5914 0.2664 (multiplicity 6)
S 0.3333 0.6667 0.7751 (multiplicity 2)

## Properties
raw total energy = -16.301 eV/atom

VASP calculation (meta-GGA r2SCAN) on a geometry-optimized Nd5AgSe8 structure.

Unit cell a=8.888 b=8.888 c=9.002 alpha=90.00 beta=90.00 gamma=90.00
Space group I-4 (No. 82)
One atom of each set of equivalent atoms:
Nd 0.000 0.000 0.000 (multiplicity 2)
Nd 0.130 0.248 0.619 (multiplicity 8)
Ag 0.000 0.500 0.250 (multiplicity 2)
Se 0.069 0.182 0.297 (multiplicity 8)
Se 0.076 0.318 0.935 (multiplicity 8)

## Properties
raw total energy = -22.173 eV/atom

VASP calculation (meta-GGA r2SCAN) on a geometry-optimized Nd2Si3Ag structure.

Unit cell a=4.111 b=4.326 c=14.405 alpha=90.00 beta=90.00 gamma=90.00
Space group Imm2 (No. 44)
One atom of each set of equivalent atoms:
Nd 0.000 0.000 0.000 (multiplicity 2)
Nd 0.000 0.500 0.264 (multiplicity 2)
Si 0.000 0.000 0.423 (multiplicity 2)
Si 0.000 0.500 0.675 (multiplicity 2)
Si 0.000 0.500 0.838 (multiplicity 2)
Ag 0.000 0.000 0.593 (multiplicity 2)

## Properties
raw total energy = -18.452 eV/atom

VASP calculation (meta-GGA r2SCAN) on a geometry-optimized NdSi2Ag structure.

Unit cell a=4.246 b=17.501 c=4.227 alpha=90.00 beta=90.00 gamma=90.00
Space group Cmcm (No. 63)
One atom of each set of equivalent atoms:
Nd 0.000 0.097 0.250 (multiplicity 4)
Si 0.000 0.335 0.250 (multiplicity 4)
Si 0.000 0.468 0.250 (multiplicity 4)
Ag 0.000 0.248 0.750 (multiplicity 4)

## Properties
raw total energy = -17.631 eV/atom

VASP calculation (meta-GGA r2SCAN) on a geometry-optimized NdSiAg structure.

Unit cell a=4.4236 b=4.4236 c=7.9279 alpha=90.00 beta=90.00 gamma=120.00
Space group P6_3/mmc (No. 194)
One atom of each set of equivalent atoms:
Nd 0.0000 0.0000 0.0000 (multiplicity 2)
Si 0.3333 0.6667 0.2500 (multiplicity 2)
Ag 0.3333 0.6667 0.7500 (multiplicity 2)

## Properties
raw total energy = -20.448 eV/atom

VASP calculation (meta-GGA r2SCAN) on a geometry-optimized NdAgSn structure.

Unit cell a=4.7843 b=4.7843 c=7.6848 alpha=90.00 beta=90.00 gamma=120.00
Space group P6_3mc (No. 186)
One atom of each set of equivalent atoms:
Nd 0.0000 0.0000 0.0000 (multiplicity 2)
Ag 0.3333 0.6667 0.1943 (multiplicity 2)
Sn 0.3333 0.6667 0.7792 (multiplicity 2)

## Properties
raw total energy = -25.873 eV/atom

| no. | total magnetic moment (μB/f.u.) | calculated density (g/cm3) | formation enthalpy at 0 K (eV/f.u.) |
| --- | --- | --- | --- |
| 1 | 0.0 | 4.4 | -1.79 |
| 2 | 0.0 | 4.5 | -124.71 |
| 3 | 0.0 | 5.2 | -7.02 |
| 4 | 1.7 | 4.5 | -13.94 |
| 5 | 0.0 | 8.8 | -0.78 |
| 6 | 0.0 | 8.0 | -0.56 |
| 7 | 0.0 | 5.0 | -20.99 |
| 8 | 0.0 | 6.8 | -27.49 |
| 9 | 0.0 | 6.2 | -4.20 |
| 10 | 0.0 | 6.5 | -2.20 |
| 11 | 0.0 | 6.9 | -1.80 |
| 12 | 0.0 | 8.1 | -2.10 |